Model i:
The following is a DFT calculation (GGA-PBE) of an optimized crystal structure of NdGa3.

* crystal system: cubic
* symmetry: No. 221

a = 4.3825 Å, b = 4.3825 Å, c = 4.3825 Å
α = 90.00°, β = 90.00°, γ = 90.00°
Last column: nearest neighbours and their distance in Å.
Positions (direct):
Nd 0.0000 0.0000 0.0000  12 Ga 3.10
Ga 0.5000 0.5000 0.0000  4 Nd 3.10, 8 Ga 3.10
Ga 0.5000 0.0000 0.5000  8 Ga 3.10, 4 Nd 3.10
Ga 0.0000 0.5000 0.5000  8 Ga 3.10, 4 Nd 3.10

Model ii:
The following is a DFT calculation (GGA-PBE) of an optimized crystal structure of NdGa3.

* crystal system: hexagonal
* symmetry: No. 194

a = 6.4616 Å, b = 6.4616 Å, c = 4.6157 Å
α = 90.00°, β = 90.00°, γ = 120.00°
Last column: nearest neighbours and their distance in Å.
Positions (direct):
Nd 0.6667 0.3333 0.2500  12 Ga 3.14-3.24
Nd 0.3333 0.6667 0.7500  12 Ga 3.14-3.24
Ga 0.8567 0.1433 0.7500  6 Ga 2.78-2.81
Ga 0.2866 0.1433 0.7500  6 Ga 2.78-2.81
Ga 0.8567 0.7134 0.7500  6 Ga 2.78-2.81
Ga 0.1433 0.8567 0.2500  6 Ga 2.78-2.81
Ga 0.7134 0.8567 0.2500  6 Ga 2.78-2.81
Ga 0.1433 0.2866 0.2500  6 Ga 2.78-2.81

Relative energies, in kJ/mol of atoms, with the most stable structure set to zero: model i 5.2; model ii 0.0.

Model i:
The following is a DFT calculation (GGA-PBE) of an optimized crystal structure of UGa3Ni.

* crystal system: tetragonal
* symmetry: No. 119

a = 5.9934 Å, b = 5.9934 Å, c = 5.9934 Å
α = 140.34°, β = 140.34°, γ = 57.34°
Last column: nearest neighbours and their distance in Å.
Positions (direct):
U 0.0000 0.0000 0.0000  12 Ga 3.12-3.32, 4 Ni 3.32
Ga 0.6160 0.6160 0.0000  3 Ga 2.44-2.47, 2 Ni 2.47
Ga 0.7500 0.2500 0.5000  4 Ga 2.47
Ga 0.3840 0.3840 0.0000  3 Ga 2.44-2.47, 2 Ni 2.47
Ni 0.2500 0.7500 0.5000  4 Ga 2.47

Model ii:
The following is a DFT calculation (GGA-PBE) of an optimized crystal structure of UGa3Ni.

* crystal system: tetragonal
* symmetry: No. 107

a = 5.9020 Å, b = 5.9020 Å, c = 5.9020 Å
α = 138.69°, β = 138.69°, γ = 59.85°
Last column: nearest neighbours and their distance in Å.
Positions (direct):
U 0.9943 0.9943 0.0000  12 Ga 3.07-3.31, 4 Ni 3.27
Ga 0.4096 0.4096 0.0000  1 Ni 2.29
Ga 0.2461 0.7461 0.5000  2 Ni 2.38
Ga 0.7461 0.2461 0.5000  2 Ni 2.38
Ni 0.6339 0.6339 0.0000  5 Ga 2.29-2.38

Relative energies, in kJ/mol of atoms, with the most stable structure set to zero: model i 7.9; model ii 0.0.

Model i:
The following is a DFT calculation (GGA-PBE) of an optimized crystal structure of TiGa2O5.

* crystal system: orthorhombic
* symmetry: No. 63

a = 5.2940 Å, b = 5.2940 Å, c = 10.0888 Å
α = 90.00°, β = 90.00°, γ = 139.54°
Last column: nearest neighbours and their distance in Å.
Positions (direct):
Ti 0.8208 0.1792 0.7500  4 O 1.86-1.97
Ti 0.1792 0.8208 0.2500  4 O 1.86-1.97
Ga 0.8632 0.1368 0.4409  4 O 1.92-2.01
Ga 0.8632 0.1368 0.0591  4 O 1.92-2.01
Ga 0.1368 0.8632 0.9409  4 O 1.92-2.01
Ga 0.1368 0.8632 0.5591  4 O 1.92-2.01
O 0.9530 0.0470 0.8807  1 Ti 1.86, 2 Ga 1.92-2.01
O 0.9530 0.0470 0.6193  1 Ti 1.86, 2 Ga 1.92-2.01
O 0.3076 0.6924 0.0754  2 Ga 1.92
O 0.3076 0.6924 0.4246  2 Ga 1.92
O 0.7513 0.2487 0.2500  2 Ti 1.97
O 0.2487 0.7513 0.7500  2 Ti 1.97
O 0.6924 0.3076 0.9246  2 Ga 1.92
O 0.6924 0.3076 0.5754  2 Ga 1.92
O 0.0470 0.9530 0.3807  1 Ti 1.86, 2 Ga 1.92-2.01
O 0.0470 0.9530 0.1193  1 Ti 1.86, 2 Ga 1.92-2.01

Model ii:
The following is a DFT calculation (GGA-PBE) of an optimized crystal structure of TiGa2O5.

* crystal system: monoclinic
* symmetry: No. 15

a = 5.6430 Å, b = 5.6430 Å, c = 7.0633 Å
α = 71.66°, β = 71.66°, γ = 53.09°
Last column: nearest neighbours and their distance in Å.
Positions (direct):
Ti 0.0000 0.0000 0.5000  6 O 1.95-2.02
Ti 0.0000 0.0000 0.0000  6 O 1.95-2.02
Ga 0.3607 0.3668 0.7257  4 O 1.88-2.02
Ga 0.3668 0.3607 0.2257  4 O 1.88-2.02
Ga 0.6332 0.6393 0.7743  4 O 1.88-2.02
Ga 0.6393 0.6332 0.2743  4 O 1.88-2.02
O 0.2496 0.5814 0.9490  1 Ti 1.98, 2 Ga 2.00-2.02
O 0.5814 0.2496 0.4490  1 Ti 1.98, 2 Ga 2.00-2.02
O 0.9682 0.6620 0.6499  2 Ga 1.88-1.93, 1 Ti 1.95
O 0.3380 0.0318 0.8501  2 Ga 1.88-1.93, 1 Ti 1.95
O 0.6620 0.9682 0.1499  2 Ga 1.88-1.93, 1 Ti 1.95
O 0.0318 0.3380 0.3501  2 Ga 1.88-1.93, 1 Ti 1.95
O 0.4186 0.7504 0.5510  1 Ti 1.98, 2 Ga 2.00-2.02
O 0.8035 0.1965 0.7500  2 Ti 2.02, 2 Ga 2.12
O 0.7504 0.4186 0.0510  1 Ti 1.98, 2 Ga 2.00-2.02
O 0.1965 0.8035 0.2500  2 Ti 2.02, 2 Ga 2.12

Relative energies, in kJ/mol of atoms, with the most stable structure set to zero: model i 0.0; model ii 3.7.

Model i:
The following is a DFT calculation (GGA-PBE) of an optimized crystal structure of Y4Ga2O9.

* crystal system: orthorhombic
* symmetry: No. 60

a = 6.0936 Å, b = 11.1022 Å, c = 11.5305 Å
α = 90.00°, β = 90.00°, γ = 90.00°
Last column: nearest neighbours and their distance in Å.
Positions (direct):
Y 0.7489 0.0846 0.0025  6 O 2.24-2.40
Y 0.2511 0.5846 0.0025  6 O 2.24-2.40
Y 0.2745 0.2898 0.1421  6 O 2.27-2.51
Y 0.7255 0.7898 0.1421  6 O 2.27-2.51
Y 0.7745 0.2898 0.3579  6 O 2.27-2.51
Y 0.2255 0.7898 0.3579  6 O 2.27-2.51
Y 0.2489 0.0846 0.4975  6 O 2.24-2.40
Y 0.7511 0.5846 0.4975  6 O 2.24-2.40
Y 0.2489 0.4154 0.5025  6 O 2.24-2.40
Y 0.7511 0.9154 0.5025  6 O 2.24-2.40
Y 0.7745 0.2102 0.6421  6 O 2.27-2.51
Y 0.2255 0.7102 0.6421  6 O 2.27-2.51
Y 0.2745 0.2102 0.8579  6 O 2.27-2.51
Y 0.7255 0.7102 0.8579  6 O 2.27-2.51
Y 0.2511 0.9154 0.9975  6 O 2.24-2.40
Y 0.7489 0.4154 0.9975  6 O 2.24-2.40
Ga 0.0597 0.0374 0.2252  5 O 1.91-2.13
Ga 0.9403 0.5374 0.2252  5 O 1.91-2.13
Ga 0.4403 0.5374 0.2748  5 O 1.91-2.13
Ga 0.5597 0.0374 0.2748  5 O 1.91-2.13
Ga 0.4403 0.9626 0.7252  5 O 1.91-2.13
Ga 0.5597 0.4626 0.7252  5 O 1.91-2.13
Ga 0.9403 0.9626 0.7748  5 O 1.91-2.13
Ga 0.0597 0.4626 0.7748  5 O 1.91-2.13
O 0.5334 0.2500 0.0000  4 Y 2.26-2.32
O 0.4666 0.7500 0.0000  4 Y 2.26-2.32
O 0.1168 0.1092 0.0568  1 Ga 2.13, 1 Y 2.34
O 0.8832 0.6092 0.0568  1 Ga 2.13, 1 Y 2.34
O 0.4560 0.4670 0.1180  1 Ga 1.97
O 0.5440 0.9670 0.1180  1 Ga 1.97
O 0.0646 0.8733 0.1740  1 Ga 1.91
O 0.9354 0.3733 0.1740  1 Ga 1.91
O 0.2009 0.6333 0.2219  2 Ga 1.91
O 0.7991 0.1333 0.2219  2 Ga 1.91
O 0.7009 0.6333 0.2781  2 Ga 1.91
O 0.2991 0.1333 0.2781  2 Ga 1.91
O 0.4354 0.3733 0.3260  1 Ga 1.91
O 0.5646 0.8733 0.3260  1 Ga 1.91
O 0.9560 0.4670 0.3820  1 Ga 1.97
O 0.0440 0.9670 0.3820  1 Ga 1.97
O 0.3832 0.6092 0.4432  1 Ga 2.13, 1 Y 2.34
O 0.6168 0.1092 0.4432  1 Ga 2.13, 1 Y 2.34
O 0.0334 0.2500 0.5000  4 Y 2.26-2.32
O 0.9666 0.7500 0.5000  4 Y 2.26-2.32
O 0.3832 0.8908 0.5568  1 Ga 2.13, 1 Y 2.34
O 0.6168 0.3908 0.5568  1 Ga 2.13, 1 Y 2.34
O 0.0440 0.5330 0.6180  1 Ga 1.97
O 0.9560 0.0330 0.6180  1 Ga 1.97
O 0.4354 0.1267 0.6740  1 Ga 1.91
O 0.5646 0.6267 0.6740  1 Ga 1.91
O 0.2991 0.3667 0.7219  2 Ga 1.91
O 0.7009 0.8667 0.7219  2 Ga 1.91
O 0.2009 0.8667 0.7781  2 Ga 1.91
O 0.7991 0.3667 0.7781  2 Ga 1.91
O 0.0646 0.6267 0.8260  1 Ga 1.91
O 0.9354 0.1267 0.8260  1 Ga 1.91
O 0.4560 0.0330 0.8820  1 Ga 1.97
O 0.5440 0.5330 0.8820  1 Ga 1.97
O 0.8832 0.8908 0.9432  1 Ga 2.13, 1 Y 2.34
O 0.1168 0.3908 0.9432  1 Ga 2.13, 1 Y 2.34

Model ii:
The following is a DFT calculation (GGA-PBE) of an optimized crystal structure of Y4Ga2O9.

* crystal system: monoclinic
* symmetry: No. 14

a = 10.6717 Å, b = 7.4248 Å, c = 11.4163 Å
α = 72.28°, β = 90.00°, γ = 90.00°
Last column: nearest neighbours and their distance in Å.
Positions (direct):
Y 0.6286 0.9064 0.9414  6 O 2.27-2.52
Y 0.8714 0.9064 0.4414  6 O 2.27-2.52
Y 0.4010 0.7737 0.6999  6 O 2.21-2.39
Y 0.8845 0.7374 0.7802  7 O 2.26-2.50
Y 0.0990 0.7737 0.1999  6 O 2.21-2.39
Y 0.1155 0.5827 0.5920  6 O 2.27-2.45
Y 0.6155 0.7374 0.2802  7 O 2.26-2.50
Y 0.6155 0.4173 0.9080  6 O 2.27-2.45
Y 0.3845 0.5827 0.0920  6 O 2.27-2.45
Y 0.3845 0.2626 0.7198  7 O 2.26-2.50
Y 0.8845 0.4173 0.4080  6 O 2.27-2.45
Y 0.9010 0.2263 0.8001  6 O 2.21-2.39
Y 0.1155 0.2626 0.2198  7 O 2.26-2.50
Y 0.5990 0.2263 0.3001  6 O 2.21-2.39
Y 0.1286 0.0936 0.5586  6 O 2.27-2.52
Y 0.3714 0.0936 0.0586  6 O 2.27-2.52
Ga 0.1710 0.9459 0.8777  4 O 1.83-1.90
Ga 0.3290 0.9459 0.3777  4 O 1.83-1.90
Ga 0.6761 0.5861 0.6087  4 O 1.84-1.89
Ga 0.1761 0.4139 0.8913  4 O 1.84-1.89
Ga 0.8239 0.5861 0.1087  4 O 1.84-1.89
Ga 0.3239 0.4139 0.3913  4 O 1.84-1.89
Ga 0.6710 0.0541 0.6223  4 O 1.83-1.90
Ga 0.8290 0.0541 0.1223  4 O 1.83-1.90
O 0.0013 0.9370 0.8567  1 Ga 1.83
O 0.2552 0.9798 0.7287  1 Ga 1.87
O 0.0030 0.8340 0.6083  4 Y 2.26-2.30
O 0.7386 0.8223 0.6134  2 Ga 1.89-1.90
O 0.4940 0.6875 0.8947  4 Y 2.34-2.45
O 0.4987 0.9370 0.3567  1 Ga 1.83
O 0.2448 0.9798 0.2287  1 Ga 1.87
O 0.7612 0.6206 0.9531  1 Ga 1.84
O 0.2660 0.8096 0.5276  1 Ga 1.83
O 0.2672 0.5355 0.7515  1 Ga 1.85
O 0.4970 0.8340 0.1083  4 Y 2.26-2.30
O 0.7614 0.8223 0.1134  2 Ga 1.89-1.90
O 0.0185 0.4753 0.8246  1 Ga 1.85
O 0.0060 0.6875 0.3947  4 Y 2.34-2.45
O 0.5185 0.5247 0.6754  1 Ga 1.85
O 0.7388 0.6206 0.4531  1 Ga 1.84
O 0.7672 0.4645 0.7485  1 Ga 1.85
O 0.2340 0.8096 0.0276  1 Ga 1.83
O 0.7660 0.1904 0.9724  1 Ga 1.83
O 0.2328 0.5355 0.2515  1 Ga 1.85
O 0.2612 0.3794 0.5469  1 Ga 1.84
O 0.4815 0.4753 0.3246  1 Ga 1.85
O 0.9940 0.3125 0.6053  4 Y 2.34-2.45
O 0.9815 0.5247 0.1754  1 Ga 1.85
O 0.2386 0.1777 0.8866  2 Ga 1.89-1.90
O 0.5030 0.1660 0.8917  4 Y 2.26-2.30
O 0.7328 0.4645 0.2485  1 Ga 1.85
O 0.7340 0.1904 0.4724  1 Ga 1.83
O 0.2388 0.3794 0.0469  1 Ga 1.84
O 0.7552 0.0202 0.7713  1 Ga 1.87
O 0.5013 0.0630 0.6433  1 Ga 1.83
O 0.5060 0.3125 0.1053  4 Y 2.34-2.45
O 0.2614 0.1777 0.3866  2 Ga 1.89-1.90
O 0.9970 0.1660 0.3917  4 Y 2.26-2.30
O 0.7448 0.0202 0.2713  1 Ga 1.87
O 0.9987 0.0630 0.1433  1 Ga 1.83

Relative energies, in kJ/mol of atoms, with the most stable structure set to zero: model i 5.1; model ii 0.0.

Model i:
The following is a DFT calculation (GGA-PBE) of an optimized crystal structure of Ga3P.

* crystal system: cubic
* symmetry: No. 221

a = 4.2354 Å, b = 4.2354 Å, c = 4.2354 Å
α = 90.00°, β = 90.00°, γ = 90.00°
Last column: nearest neighbours and their distance in Å.
Positions (direct):
Ga 0.0000 0.5000 0.5000  4 P 2.99, 8 Ga 2.99
Ga 0.5000 0.0000 0.5000  4 P 2.99, 8 Ga 2.99
Ga 0.5000 0.5000 0.0000  4 P 2.99, 8 Ga 2.99
P 0.0000 0.0000 0.0000  12 Ga 2.99

Model ii:
The following is a DFT calculation (GGA-PBE) of an optimized crystal structure of Ga3P.

* crystal system: tetragonal
* symmetry: No. 139

a = 5.8361 Å, b = 5.8361 Å, c = 5.8361 Å
α = 142.35°, β = 142.35°, γ = 54.30°
Last column: nearest neighbours and their distance in Å.
Positions (direct):
Ga 0.7500 0.2500 0.5000  4 Ga 2.66
Ga 0.2500 0.7500 0.5000  4 Ga 2.66
Ga 0.5000 0.5000 0.0000  4 P 2.66
P 0.0000 0.0000 0.0000  4 Ga 2.66

Relative energies, in kJ/mol of atoms, with the most stable structure set to zero: model i 0.9; model ii 0.0.

Model i:
The following is a DFT calculation (GGA-PBE) of an optimized crystal structure of GaPb3.

* crystal system: hexagonal
* symmetry: No. 194

a = 6.8165 Å, b = 6.8165 Å, c = 5.8164 Å
α = 90.00°, β = 90.00°, γ = 120.00°
Last column: nearest neighbours and their distance in Å.
Positions (direct):
Ga 0.3333 0.6667 0.7500  12 Pb 3.41-3.49
Ga 0.6667 0.3333 0.2500  12 Pb 3.41-3.49
Pb 0.1699 0.3399 0.2500  8 Pb 3.34-3.53, 4 Ga 3.41-3.49
Pb 0.6601 0.8301 0.2500  8 Pb 3.34-3.53, 4 Ga 3.41-3.49
Pb 0.1699 0.8301 0.2500  8 Pb 3.34-3.53, 4 Ga 3.41-3.49
Pb 0.8301 0.6601 0.7500  8 Pb 3.34-3.53, 4 Ga 3.41-3.49
Pb 0.3399 0.1699 0.7500  8 Pb 3.34-3.53, 4 Ga 3.41-3.49
Pb 0.8301 0.1699 0.7500  8 Pb 3.34-3.53, 4 Ga 3.41-3.49

Model ii:
The following is a DFT calculation (GGA-PBE) of an optimized crystal structure of GaPb3.

* crystal system: tetragonal
* symmetry: No. 139

a = 6.0903 Å, b = 6.0903 Å, c = 6.0903 Å
α = 133.36°, β = 133.36°, γ = 68.09°
Last column: nearest neighbours and their distance in Å.
Positions (direct):
Ga 0.0000 0.0000 0.0000  12 Pb 3.41-3.49
Pb 0.7500 0.2500 0.5000  8 Pb 3.41-3.49, 4 Ga 3.49
Pb 0.2500 0.7500 0.5000  8 Pb 3.41-3.49, 4 Ga 3.49
Pb 0.5000 0.5000 0.0000  4 Ga 3.41, 8 Pb 3.49

Relative energies, in kJ/mol of atoms, with the most stable structure set to zero: model i 4.0; model ii 0.0.

Model i:
The following is a DFT calculation (GGA-PBE) of an optimized crystal structure of Ga3Pt.

* crystal system: hexagonal
* symmetry: No. 194

a = 5.9117 Å, b = 5.9117 Å, c = 4.5218 Å
α = 90.00°, β = 90.00°, γ = 120.00°
Last column: nearest neighbours and their distance in Å.
Positions (direct):
Ga 0.1705 0.3411 0.2500  4 Pt 2.81-2.96, 8 Ga 2.86-3.02
Ga 0.6589 0.8295 0.2500  4 Pt 2.81-2.96, 8 Ga 2.86-3.02
Ga 0.1705 0.8295 0.2500  4 Pt 2.81-2.96, 8 Ga 2.86-3.02
Ga 0.8295 0.6589 0.7500  4 Pt 2.81-2.96, 8 Ga 2.86-3.02
Ga 0.3411 0.1705 0.7500  4 Pt 2.81-2.96, 8 Ga 2.86-3.02
Ga 0.8295 0.1705 0.7500  4 Pt 2.81-2.96, 8 Ga 2.86-3.02
Pt 0.3333 0.6667 0.7500  12 Ga 2.81-2.96
Pt 0.6667 0.3333 0.2500  12 Ga 2.81-2.96

Model ii:
The following is a DFT calculation (GGA-PBE) of an optimized crystal structure of Ga3Pt.

* crystal system: cubic
* symmetry: No. 225

a = 4.5787 Å, b = 4.5787 Å, c = 4.5787 Å
α = 60.00°, β = 60.00°, γ = 60.00°
Last column: nearest neighbours and their distance in Å.
Positions (direct):
Ga 0.2500 0.2500 0.2500  4 Pt 2.80, 4 Ga 2.80
Ga 0.7500 0.7500 0.7500  4 Ga 2.80, 4 Pt 2.80
Ga 0.5000 0.5000 0.5000  8 Ga 2.80
Pt 0.0000 0.0000 0.0000  8 Ga 2.80

Relative energies, in kJ/mol of atoms, with the most stable structure set to zero: model i 1.6; model ii 0.0.

Model i:
The following is a DFT calculation (GGA-PBE) of an optimized crystal structure of Ga3Rh.

* crystal system: hexagonal
* symmetry: No. 194

a = 5.4126 Å, b = 5.4126 Å, c = 4.9381 Å
α = 90.00°, β = 90.00°, γ = 120.00°
Last column: nearest neighbours and their distance in Å.
Positions (direct):
Ga 0.1706 0.3411 0.2500  8 Ga 2.64-2.94, 4 Rh 2.71-2.90
Ga 0.6589 0.8294 0.2500  8 Ga 2.64-2.94, 4 Rh 2.71-2.90
Ga 0.1706 0.8294 0.2500  8 Ga 2.64-2.94, 4 Rh 2.71-2.90
Ga 0.8294 0.6589 0.7500  8 Ga 2.64-2.94, 4 Rh 2.71-2.90
Ga 0.3411 0.1706 0.7500  8 Ga 2.64-2.94, 4 Rh 2.71-2.90
Ga 0.8294 0.1706 0.7500  8 Ga 2.64-2.94, 4 Rh 2.71-2.90
Rh 0.3333 0.6667 0.7500  12 Ga 2.71-2.90
Rh 0.6667 0.3333 0.2500  12 Ga 2.71-2.90

Model ii:
The following is a DFT calculation (GGA-PBE) of an optimized crystal structure of Ga3Rh.

* crystal system: tetragonal
* symmetry: No. 136

a = 6.5404 Å, b = 6.5404 Å, c = 6.7064 Å
α = 90.00°, β = 90.00°, γ = 90.00°
Last column: nearest neighbours and their distance in Å.
Positions (direct):
Ga 0.0000 0.5000 0.5000  2 Rh 2.46
Ga 0.5000 0.0000 0.0000  2 Rh 2.46
Ga 0.5000 0.0000 0.5000  2 Rh 2.46
Ga 0.0000 0.5000 0.0000  2 Rh 2.46
Ga 0.3480 0.6520 0.2398  3 Rh 2.47-2.59
Ga 0.6520 0.3480 0.2398  3 Rh 2.47-2.59
Ga 0.1520 0.1520 0.7398  3 Rh 2.47-2.59
Ga 0.8480 0.8480 0.7398  3 Rh 2.47-2.59
Ga 0.6520 0.3480 0.7602  3 Rh 2.47-2.59
Ga 0.3480 0.6520 0.7602  3 Rh 2.47-2.59
Ga 0.8480 0.8480 0.2602  3 Rh 2.47-2.59
Ga 0.1520 0.1520 0.2602  3 Rh 2.47-2.59
Rh 0.1592 0.8408 0.5000  8 Ga 2.46-2.59
Rh 0.8408 0.1592 0.5000  8 Ga 2.46-2.59
Rh 0.3408 0.3408 0.0000  8 Ga 2.46-2.59
Rh 0.6592 0.6592 0.0000  8 Ga 2.46-2.59

Relative energies, in kJ/mol of atoms, with the most stable structure set to zero: model i 19.7; model ii 0.0.